*a*
This record from Materials Project describes crystalline ZnCd2N2 at its relaxed geometry. The functional is PBE.

a b c (Å): 6.9005 6.9005 6.9005
angles (deg): 151.17 151.17 41.22
With the nearest neighbours (Å) after each atom.
Sites, in units of the cell vectors:
Zn  0.0000  0.0000  0.0000  2 N 1.86
Cd  0.3349  0.3349  0.0000  5 N 2.44-2.46
Cd  0.6651  0.6651  0.0000  5 N 2.44-2.46
N  0.1441  0.1441  0.0000  1 Zn 1.86
N  0.8559  0.8559  0.0000  1 Zn 1.86


*b*
This record from Materials Project describes crystalline ZnCd2N2 at its relaxed geometry. The functional is PBE.

a b c (Å): 3.9308 3.9308 6.9158
angles (deg): 106.53 106.53 60.20
With the nearest neighbours (Å) after each atom.
Sites, in units of the cell vectors:
Zn  0.0000  0.0000  0.0000  2 N 1.86
Cd  0.2249  0.2249  0.6726  4 N 2.29-2.54
Cd  0.7751  0.7751  0.3274  4 N 2.29-2.54
N  0.0949  0.0949  0.2843  1 Zn 1.86
N  0.9051  0.9051  0.7157  1 Zn 1.86


Which is most stable, and by how much? *b*, by 84 meV/atom.


*a*
This record from Materials Project describes crystalline Nd3Cd at its relaxed geometry. The functional is PBE.

a b c (Å): 7.1621 7.1621 5.6171
angles (deg): 90.00 90.00 120.00
With the nearest neighbours (Å) after each atom.
Sites, in units of the cell vectors:
Nd  0.1741  0.3482  0.2500  8 Nd 3.42-3.74, 4 Cd 3.43-3.58
Nd  0.1741  0.8259  0.2500  8 Nd 3.42-3.74, 4 Cd 3.43-3.58
Nd  0.3482  0.1741  0.7500  8 Nd 3.42-3.74, 4 Cd 3.43-3.58
Nd  0.6518  0.8259  0.2500  8 Nd 3.42-3.74, 4 Cd 3.43-3.58
Nd  0.8259  0.1741  0.7500  8 Nd 3.42-3.74, 4 Cd 3.43-3.58
Nd  0.8259  0.6518  0.7500  8 Nd 3.42-3.74, 4 Cd 3.43-3.58
Cd  0.3333  0.6667  0.7500  12 Nd 3.43-3.58
Cd  0.6667  0.3333  0.2500  12 Nd 3.43-3.58


*b*
This record from Materials Project describes crystalline Nd3Cd at its relaxed geometry. The functional is PBE.

a b c (Å): 6.1716 6.1716 6.1716
angles (deg): 132.67 132.67 69.17
With the nearest neighbours (Å) after each atom.
Sites, in units of the cell vectors:
Nd  0.0000  0.0000  0.0000  4 Cd 3.50, 8 Nd 3.55
Nd  0.2500  0.7500  0.5000  8 Nd 3.50-3.55, 4 Cd 3.55
Nd  0.7500  0.2500  0.5000  8 Nd 3.50-3.55, 4 Cd 3.55
Cd  0.5000  0.5000  0.0000  12 Nd 3.50-3.55


Which is most stable, and by how much? *b*, by 6 meV/atom.


*a*
This record from Materials Project describes crystalline Rb2Cd2S3O12 at its relaxed geometry. The functional is PBE.

a b c (Å): 10.5688 10.6477 11.0065
angles (deg): 90.00 91.12 90.00
With the nearest neighbours (Å) after each atom.
Sites, in units of the cell vectors:
Rb  0.0609  0.0000  0.1660  7 O 2.93-3.14
Rb  0.2115  0.6401  0.4723  6 O 2.87-3.21
Rb  0.3058  0.2296  0.9741  5 O 2.91-3.17
Rb  0.4393  0.8764  0.6763  8 O 2.98-3.28
Rb  0.5607  0.3764  0.3237  8 O 2.98-3.28
Rb  0.6942  0.7296  0.0259  5 O 2.91-3.17
Rb  0.7885  0.1401  0.5277  6 O 2.87-3.21
Rb  0.9391  0.5000  0.8340  7 O 2.93-3.14
Cd  0.0878  0.8474  0.8170  5 O 2.19-2.35
Cd  0.1782  0.2886  0.5671  5 O 2.20-2.40
Cd  0.3191  0.5844  0.0888  6 O 2.29-2.51
Cd  0.4048  0.0314  0.3033  5 O 2.21-2.43
Cd  0.5952  0.5314  0.6967  5 O 2.21-2.43
Cd  0.6809  0.0844  0.9112  6 O 2.29-2.51
Cd  0.8218  0.7886  0.4329  5 O 2.20-2.40
Cd  0.9122  0.3474  0.1830  5 O 2.19-2.35
S  0.0227  0.6578  0.1654  2 O 1.50-1.51
S  0.1227  0.9690  0.5138  4 O 1.48-1.51
S  0.2182  0.3234  0.2699  3 O 1.53-1.56
S  0.2559  0.5510  0.7863  4 O 1.47-1.50
S  0.3759  0.8986  0.0099  4 O 1.48-1.50
S  0.4626  0.2180  0.6544  4 O 1.46-1.61
S  0.5374  0.7180  0.3456  4 O 1.46-1.61
S  0.6241  0.3986  0.9901  4 O 1.48-1.50
S  0.7441  0.0510  0.2137  4 O 1.47-1.50
S  0.7818  0.8234  0.7301  3 O 1.53-1.56
S  0.8773  0.4690  0.4862  4 O 1.48-1.51
S  0.9773  0.1578  0.8346  2 O 1.50-1.51
O  0.0163  0.8919  0.4642  1 S 1.49
O  0.0199  0.0381  0.8933  1 S 1.50
O  0.0319  0.2495  0.0534  1 O 1.49
O  0.0661  0.7461  0.0455  1 O 1.49
O  0.0803  0.1044  0.5180  1 S 1.51
O  0.1564  0.6481  0.2160  1 S 1.51
O  0.1581  0.9269  0.6399  1 S 1.50
O  0.1962  0.4559  0.7030  1 S 1.50
O  0.2034  0.6762  0.7484  1 S 1.50
O  0.2169  0.5191  0.9134  1 S 1.50
O  0.2338  0.9524  0.4357  1 S 1.48
O  0.2544  0.1850  0.2534  1 S 1.53
O  0.2625  0.3631  0.4006  1 S 1.56
O  0.2724  0.9178  0.9180  1 S 1.49
O  0.3103  0.3952  0.1884  1 S 1.54
O  0.3283  0.9405  0.1313  1 S 1.50
O  0.3370  0.2222  0.7121  1 S 1.48
O  0.3944  0.5534  0.7805  1 S 1.47
O  0.4132  0.7626  0.0166  1 S 1.50
O  0.4184  0.1376  0.5372  1 O 1.48, 1 S 1.61
O  0.4440  0.6442  0.2768  1 S 1.46
O  0.4821  0.6300  0.5555  1 O 1.48
O  0.4865  0.9740  0.9742  1 S 1.48
O  0.4900  0.8382  0.3884  1 S 1.46
O  0.5100  0.3382  0.6116  1 S 1.46
O  0.5135  0.4740  0.0258  1 S 1.48
O  0.5179  0.1300  0.4445  1 O 1.48
O  0.5560  0.1442  0.7232  1 S 1.46
O  0.5816  0.6376  0.4628  1 O 1.48, 1 S 1.61
O  0.5868  0.2626  0.9834  1 S 1.50
O  0.6056  0.0534  0.2195  1 S 1.47
O  0.6630  0.7222  0.2879  1 S 1.48
O  0.6717  0.4405  0.8687  1 S 1.50
O  0.6897  0.8952  0.8116  1 S 1.54
O  0.7276  0.4178  0.0820  1 S 1.49
O  0.7375  0.8631  0.5994  1 S 1.56
O  0.7456  0.6850  0.7466  1 S 1.53
O  0.7662  0.4524  0.5643  1 S 1.48
O  0.7831  0.0191  0.0866  1 S 1.50
O  0.7966  0.1762  0.2516  1 S 1.50
O  0.8038  0.9559  0.2970  1 S 1.50
O  0.8419  0.4269  0.3601  1 S 1.50
O  0.8436  0.1481  0.7840  1 S 1.51
O  0.9197  0.6044  0.4820  1 S 1.51
O  0.9339  0.2461  0.9545  1 O 1.49
O  0.9681  0.7495  0.9466  1 O 1.49
O  0.9801  0.5381  0.1067  1 S 1.50
O  0.9837  0.3919  0.5358  1 S 1.49


*b*
This record from Materials Project describes crystalline Rb2Cd2S3O12 at its relaxed geometry. The functional is PBE.

a b c (Å): 10.7796 10.5542 10.8418
angles (deg): 90.00 90.50 90.00
With the nearest neighbours (Å) after each atom.
Sites, in units of the cell vectors:
Rb  0.0698  0.0000  0.1716  3 O 2.92-3.04
Rb  0.1696  0.6130  0.4330  4 O 2.67-2.88
Rb  0.3235  0.2260  0.9446  6 O 2.94-3.15
Rb  0.4273  0.8948  0.7066  2 O 2.70-2.92
Rb  0.5727  0.3948  0.2934  2 O 2.70-2.92
Rb  0.6765  0.7260  0.0554  6 O 2.94-3.15
Rb  0.8304  0.1130  0.5670  4 O 2.67-2.88
Rb  0.9302  0.5000  0.8284  3 O 2.92-3.04
Cd  0.0854  0.8502  0.8344  6 O 2.23-2.42
Cd  0.1701  0.2739  0.5624  5 O 2.23-2.36
Cd  0.3212  0.5873  0.0778  4 O 2.22-2.35
Cd  0.4183  0.0048  0.3326  6 O 2.29-2.38
Cd  0.5817  0.5048  0.6674  6 O 2.29-2.38
Cd  0.6788  0.0873  0.9222  4 O 2.22-2.35
Cd  0.8299  0.7739  0.4376  5 O 2.23-2.36
Cd  0.9146  0.3502  0.1656  6 O 2.23-2.42
S  0.0301  0.6665  0.1232  3 O 1.52-1.55
S  0.1263  0.9522  0.5124  4 O 1.48-1.51
S  0.2442  0.3013  0.2520  4 O 1.48-1.50
S  0.2554  0.5443  0.7713  4 O 1.48-1.50
S  0.3749  0.9019  0.0211  4 O 1.48-1.51
S  0.4611  0.1991  0.6249  4 O 1.47-1.52
S  0.5389  0.6991  0.3751  4 O 1.47-1.52
S  0.6251  0.4019  0.9789  4 O 1.48-1.51
S  0.7446  0.0443  0.2287  4 O 1.48-1.50
S  0.7558  0.8013  0.7480  4 O 1.48-1.50
S  0.8737  0.4522  0.4876  4 O 1.48-1.51
S  0.9699  0.1665  0.8768  3 O 1.52-1.55
O  0.0118  0.0317  0.9101  1 S 1.54
O  0.0261  0.8699  0.4599  1 S 1.49
O  0.0544  0.7274  0.9988  1 S 1.52
O  0.0838  0.0883  0.5013  1 S 1.51
O  0.1245  0.2825  0.1863  1 S 1.48
O  0.1507  0.9218  0.6441  1 S 1.49
O  0.1599  0.6551  0.1846  1 S 1.55
O  0.1834  0.6630  0.7577  1 S 1.48
O  0.2022  0.4491  0.6845  1 S 1.49
O  0.2240  0.3517  0.3795  1 S 1.50
O  0.2401  0.9321  0.4392  1 S 1.48
O  0.2469  0.4920  0.8994  1 S 1.50
O  0.2668  0.9345  0.9396  1 S 1.50
O  0.3106  0.1778  0.2555  1 S 1.49
O  0.3238  0.3936  0.1845  1 S 1.49
O  0.3289  0.1906  0.6714  1 S 1.52
O  0.3387  0.9215  0.1522  1 S 1.49
O  0.3587  0.6882  0.5764  2 O 2.25-2.27
O  0.3902  0.5699  0.7462  1 S 1.50
O  0.4118  0.7658  0.0010  1 S 1.51
O  0.4552  0.6570  0.2752  1 S 1.47
O  0.4695  0.1101  0.5174  1 S 1.50
O  0.4806  0.9845  0.9870  1 S 1.48
O  0.4873  0.3306  0.5834  1 S 1.49
O  0.5127  0.8306  0.4166  1 S 1.49
O  0.5194  0.4845  0.0130  1 S 1.48
O  0.5305  0.6101  0.4826  1 S 1.50
O  0.5448  0.1570  0.7248  1 S 1.47
O  0.5882  0.2658  0.9990  1 S 1.51
O  0.6098  0.0699  0.2538  1 S 1.50
O  0.6413  0.1882  0.4236  2 O 2.25-2.27
O  0.6613  0.4215  0.8478  1 S 1.49
O  0.6711  0.6906  0.3286  1 S 1.52
O  0.6762  0.8936  0.8155  1 S 1.49
O  0.6894  0.6778  0.7445  1 S 1.49
O  0.7332  0.4345  0.0604  1 S 1.50
O  0.7531  0.9920  0.1006  1 S 1.50
O  0.7599  0.4321  0.5608  1 S 1.48
O  0.7760  0.8517  0.6205  1 S 1.50
O  0.7978  0.9491  0.3155  1 S 1.49
O  0.8166  0.1630  0.2423  1 S 1.48
O  0.8401  0.1551  0.8154  1 S 1.55
O  0.8493  0.4218  0.3559  1 S 1.49
O  0.8755  0.7825  0.8137  1 S 1.48
O  0.9162  0.5883  0.4987  1 S 1.51
O  0.9456  0.2274  0.0012  1 S 1.52
O  0.9739  0.3699  0.5401  1 S 1.49
O  0.9882  0.5317  0.0899  1 S 1.54


Which is most stable, and by how much? *b*, by 371 meV/atom.


*a*
This record from Materials Project describes crystalline Rb2Cd2S3O12 at its relaxed geometry. The functional is PBE.

a b c (Å): 10.6468 10.6172 10.7262
angles (deg): 90.00 90.51 90.00
With the nearest neighbours (Å) after each atom.
Sites, in units of the cell vectors:
Rb  0.0643  0.0000  0.3055  6 O 2.94-3.14
Rb  0.1768  0.7670  0.9454  6 O 2.87-3.17
Rb  0.3057  0.3615  0.4253  4 O 2.84-3.03
Rb  0.4337  0.1204  0.7911  9 O 3.02-3.34
Rb  0.5663  0.6204  0.2089  9 O 3.02-3.34
Rb  0.6943  0.8615  0.5747  4 O 2.84-3.03
Rb  0.8232  0.2670  0.0546  6 O 2.87-3.17
Rb  0.9357  0.5000  0.6945  6 O 2.94-3.14
Cd  0.0731  0.1308  0.6600  4 O 2.17-2.38
Cd  0.1659  0.4101  0.0923  6 O 2.26-2.45
Cd  0.3451  0.7322  0.5823  5 O 2.25-2.34
Cd  0.4009  0.9707  0.1493  6 O 2.29-2.36
Cd  0.5991  0.4707  0.8507  6 O 2.29-2.36
Cd  0.6549  0.2322  0.4177  5 O 2.25-2.34
Cd  0.8341  0.9101  0.9077  6 O 2.26-2.45
Cd  0.9269  0.6308  0.3400  4 O 2.17-2.38
S  0.0266  0.8241  0.6312  4 O 1.48-1.51
S  0.1170  0.0841  0.9795  4 O 1.48-1.50
S  0.2360  0.6893  0.2807  3 O 1.54
S  0.2852  0.4629  0.7825  4 O 1.46-1.60
S  0.3921  0.0257  0.4670  4 O 1.47-1.51
S  0.4794  0.2875  0.1271  4 O 1.49-1.50
S  0.5206  0.7875  0.8729  4 O 1.49-1.50
S  0.6079  0.5257  0.5330  4 O 1.47-1.51
S  0.7148  0.9629  0.2175  4 O 1.46-1.60
S  0.7640  0.1893  0.7193  3 O 1.54
S  0.8830  0.5841  0.0205  4 O 1.48-1.50
S  0.9734  0.3241  0.3688  4 O 1.48-1.51
O  0.0003  0.4517  0.4250  1 S 1.51
O  0.9997  0.9517  0.5750  1 S 1.51
O  0.0034  0.5149  0.9964  1 S 1.50
O  0.0155  0.2256  0.4570  1 S 1.48
O  0.0444  0.3103  0.2501  1 S 1.49
O  0.0956  0.2205  0.9979  1 S 1.48
O  0.0979  0.7275  0.2573  1 S 1.54
O  0.1615  0.0563  0.8509  1 S 1.49
O  0.1633  0.8121  0.6599  1 S 1.49
O  0.1826  0.3542  0.7657  1 O 1.49, 1 S 1.60
O  0.2108  0.0340  0.0711  1 S 1.49
O  0.2200  0.2731  0.6593  1 O 1.49
O  0.2513  0.5554  0.2278  1 S 1.54
O  0.2517  0.5109  0.9056  1 S 1.46
O  0.2624  0.5544  0.6814  1 S 1.47
O  0.2879  0.0500  0.5527  1 S 1.47
O  0.3121  0.7748  0.1940  1 S 1.54
O  0.3435  0.3078  0.1506  1 S 1.49
O  0.3520  0.0595  0.3370  1 S 1.50
O  0.4084  0.4027  0.7746  1 S 1.46
O  0.4312  0.8899  0.4718  1 S 1.50
O  0.4504  0.8089  0.7530  1 S 1.50
O  0.4713  0.8798  0.9643  1 S 1.49
O  0.4958  0.6039  0.4949  1 S 1.51
O  0.4993  0.1567  0.0803  1 S 1.49
O  0.5007  0.6567  0.9197  1 S 1.49
O  0.5042  0.1039  0.5051  1 S 1.51
O  0.5287  0.3798  0.0357  1 S 1.49
O  0.5496  0.3089  0.2470  1 S 1.50
O  0.5688  0.3899  0.5282  1 S 1.50
O  0.5916  0.9027  0.2254  1 S 1.46
O  0.6480  0.5595  0.6630  1 S 1.50
O  0.6565  0.8078  0.8494  1 S 1.49
O  0.6879  0.2748  0.8060  1 S 1.54
O  0.7121  0.5500  0.4473  1 S 1.47
O  0.7376  0.0544  0.3186  1 S 1.47
O  0.7483  0.0109  0.0944  1 S 1.46
O  0.7487  0.0554  0.7722  1 S 1.54
O  0.7800  0.7731  0.3407  1 O 1.49
O  0.7892  0.5340  0.9289  1 S 1.49
O  0.8174  0.8542  0.2343  1 O 1.49, 1 S 1.60
O  0.8367  0.3121  0.3401  1 S 1.49
O  0.8385  0.5563  0.1491  1 S 1.49
O  0.9021  0.2275  0.7427  1 S 1.54
O  0.9044  0.7205  0.0021  1 S 1.48
O  0.9556  0.8103  0.7499  1 S 1.49
O  0.9845  0.7256  0.5430  1 S 1.48
O  0.9966  0.0149  0.0036  1 S 1.50


*b*
This record from Materials Project describes crystalline Rb2Cd2S3O12 at its relaxed geometry. The functional is PBE.

a b c (Å): 10.5952 10.5952 10.5952
angles (deg): 90.00 90.00 90.00
With the nearest neighbours (Å) after each atom.
Sites, in units of the cell vectors:
Rb  0.0622  0.0622  0.0622  9 O 3.01-3.30
Rb  0.1985  0.6985  0.8015  9 O 2.99-3.29
Rb  0.3015  0.3015  0.3015  9 O 2.99-3.29
Rb  0.4378  0.9378  0.5622  9 O 3.01-3.30
Rb  0.5622  0.4378  0.9378  9 O 3.01-3.30
Rb  0.6985  0.8015  0.1985  9 O 2.99-3.29
Rb  0.8015  0.1985  0.6985  9 O 2.99-3.29
Rb  0.9378  0.5622  0.4378  9 O 3.01-3.30
Cd  0.0811  0.9189  0.4189  6 O 2.30-2.33
Cd  0.1643  0.3357  0.6643  6 O 2.30-2.35
Cd  0.3357  0.6643  0.1643  6 O 2.30-2.35
Cd  0.4189  0.0811  0.9189  6 O 2.30-2.33
Cd  0.5811  0.5811  0.5811  6 O 2.30-2.33
Cd  0.6643  0.1643  0.3357  6 O 2.30-2.35
Cd  0.8357  0.8357  0.8357  6 O 2.30-2.35
Cd  0.9189  0.4189  0.0811  6 O 2.30-2.33
S  0.0237  0.7364  0.1257  4 O 1.48-1.50
S  0.1257  0.0237  0.7364  4 O 1.48-1.50
S  0.2364  0.3743  0.9763  4 O 1.48-1.50
S  0.2636  0.6257  0.4763  4 O 1.48-1.50
S  0.3743  0.9763  0.2364  4 O 1.48-1.50
S  0.4763  0.2636  0.6257  4 O 1.48-1.50
S  0.5237  0.7636  0.8743  4 O 1.48-1.50
S  0.6257  0.4763  0.2636  4 O 1.48-1.50
S  0.7364  0.1257  0.0237  4 O 1.48-1.50
S  0.7636  0.8743  0.5237  4 O 1.48-1.50
S  0.8743  0.5237  0.7636  4 O 1.48-1.50
S  0.9763  0.2364  0.3743  4 O 1.48-1.50
O  0.0035  0.1038  0.3366  1 S 1.49
O  0.0059  0.8190  0.2383  1 S 1.49
O  0.0265  0.9349  0.7803  1 S 1.48
O  0.0651  0.2803  0.4735  1 S 1.48
O  0.0764  0.1558  0.7477  1 S 1.50
O  0.1038  0.3366  0.0035  1 S 1.49
O  0.1558  0.7477  0.0764  1 S 1.50
O  0.1634  0.9965  0.6038  1 S 1.49
O  0.1810  0.7383  0.4941  1 S 1.49
O  0.2197  0.5265  0.5651  1 S 1.48
O  0.2383  0.0059  0.8190  1 S 1.49
O  0.2477  0.4236  0.8442  1 S 1.50
O  0.2523  0.5764  0.3442  1 S 1.50
O  0.2617  0.9941  0.3190  1 S 1.49
O  0.2803  0.4735  0.0651  1 S 1.48
O  0.3190  0.2617  0.9941  1 S 1.49
O  0.3366  0.0035  0.1038  1 S 1.49
O  0.3442  0.2523  0.5764  1 S 1.50
O  0.3962  0.6634  0.5035  1 S 1.49
O  0.4236  0.8442  0.2477  1 S 1.50
O  0.4349  0.7197  0.9735  1 S 1.48
O  0.4735  0.0651  0.2803  1 S 1.48
O  0.4941  0.1810  0.7383  1 S 1.49
O  0.4965  0.8962  0.8366  1 S 1.49
O  0.5035  0.3962  0.6634  1 S 1.49
O  0.5059  0.6810  0.7617  1 S 1.49
O  0.5265  0.5651  0.2197  1 S 1.48
O  0.5651  0.2197  0.5265  1 S 1.48
O  0.5764  0.3442  0.2523  1 S 1.50
O  0.6038  0.1634  0.9965  1 S 1.49
O  0.6558  0.7523  0.9236  1 S 1.50
O  0.6634  0.5035  0.3962  1 S 1.49
O  0.6810  0.7617  0.5059  1 S 1.49
O  0.7197  0.9735  0.4349  1 S 1.48
O  0.7383  0.4941  0.1810  1 S 1.49
O  0.7477  0.0764  0.1558  1 S 1.50
O  0.7523  0.9236  0.6558  1 S 1.50
O  0.7617  0.5059  0.6810  1 S 1.49
O  0.7803  0.0265  0.9349  1 S 1.48
O  0.8190  0.2383  0.0059  1 S 1.49
O  0.8366  0.4965  0.8962  1 S 1.49
O  0.8442  0.2477  0.4236  1 S 1.50
O  0.8962  0.8366  0.4965  1 S 1.49
O  0.9236  0.6558  0.7523  1 S 1.50
O  0.9349  0.7803  0.0265  1 S 1.48
O  0.9735  0.4349  0.7197  1 S 1.48
O  0.9941  0.3190  0.2617  1 S 1.49
O  0.9965  0.6038  0.1634  1 S 1.49


Which is most stable, and by how much? *b*, by 252 meV/atom.